Computed, not measured: crystalline Mg5Si6 at its relaxed geometry at the GGA-PBE level of DFT.

abc: 14.757 14.757 6.843
angles: 99.91 99.91 16.20
Atoms (fractional coordinates):
Mg (0.000, 0.000, 0.000)
Mg (0.168, 0.168, 0.302)
Mg (0.330, 0.330, 0.619)
Mg (0.378, 0.378, 0.156)
Mg (0.433, 0.433, 0.674)
Mg (0.506, 0.506, 0.359)
Mg (0.594, 0.594, 0.090)
Mg (0.626, 0.626, 0.574)
Mg (0.703, 0.703, 0.013)
Mg (0.742, 0.742, 0.547)
Si (0.062, 0.062, 0.673)
Si (0.074, 0.074, 0.334)
Si (0.136, 0.136, 0.895)
Si (0.195, 0.195, 0.699)
Si (0.261, 0.261, 0.266)
Si (0.269, 0.269, 0.910)
Si (0.524, 0.524, 0.764)
Si (0.808, 0.808, 0.255)
Si (0.815, 0.815, 0.906)
Si (0.881, 0.881, 0.481)
Si (0.901, 0.901, 0.908)
Si (0.938, 0.938, 0.269)

Crystal system: monoclinic



Computed, not measured: crystalline Mg4Si3 at its relaxed geometry at the GGA-PBE level of DFT.

abc: 5.090 7.123 8.542
angles: 81.30 76.02 73.26
Atoms (fractional coordinates):
Mg (0.000, 0.000, 0.000)
Mg (0.004, 0.652, 0.378)
Mg (0.196, 0.243, 0.236)
Mg (0.498, 0.681, 0.818)
Mg (0.506, 0.817, 0.182)
Mg (0.555, 0.433, 0.485)
Mg (0.662, 0.420, 0.088)
Mg (0.974, 0.875, 0.663)
Si (0.057, 0.612, 0.061)
Si (0.118, 0.267, 0.552)
Si (0.429, 0.090, 0.776)
Si (0.492, 0.918, 0.533)
Si (0.740, 0.087, 0.303)
Si (0.742, 0.285, 0.785)

Crystal system: triclinic



no.,density (g cm⁻³),E_form (eV per formula unit)
1,2.353,0.994
2,2.102,1.358